Record 1
The following is a DFT calculation (PBE) of a geometry-optimized LiCu2PO4 structure.

a = 5.567 Å, b = 6.263 Å, c = 10.247 Å
α = 89.04°, β = 89.33°, γ = 88.82°
Fractional coordinates of all 32 atoms:
Li  0.000  0.000  0.000
Li  0.007  0.991  0.499
Li  0.180  0.240  0.254
Li  0.537  0.240  0.503
Cu  0.194  0.267  0.738
Cu  0.221  0.711  0.739
Cu  0.223  0.725  0.247
Cu  0.499  0.694  0.021
Cu  0.507  0.275  0.005
Cu  0.508  0.700  0.525
Cu  0.603  0.503  0.761
Cu  0.604  0.500  0.260
P  0.031  0.484  0.489
P  0.032  0.494  0.000
P  0.695  0.005  0.252
P  0.703  0.997  0.749
O  0.023  0.491  0.849
O  0.033  0.488  0.338
O  0.146  0.696  0.539
O  0.147  0.708  0.044
O  0.157  0.289  0.057
O  0.175  0.280  0.537
O  0.543  0.199  0.305
O  0.561  0.200  0.799
O  0.561  0.805  0.809
O  0.563  0.805  0.310
O  0.692  0.004  0.100
O  0.697  0.994  0.598
O  0.768  0.472  0.543
O  0.770  0.496  0.056
O  0.956  0.006  0.304
O  0.963  0.993  0.802

Results
Formation energy   -14.8 eV/f.u.
DFT total energy   -5.93 eV/atom


Record 2
The following is a DFT calculation (PBE) of a geometry-optimized LiCu2PO4 structure.

a = 5.582 Å, b = 6.260 Å, c = 10.210 Å
α = 90.52°, β = 90.00°, γ = 92.99°
Fractional coordinates of all 32 atoms:
Li  0.000  0.000  0.000
Li  0.011  0.001  0.499
Li  0.189  0.760  0.247
Li  0.645  0.000  0.747
Cu  0.080  0.741  0.738
Cu  0.580  0.259  0.986
Cu  0.585  0.270  0.477
Cu  0.669  0.050  0.247
Cu  0.688  0.509  0.734
Cu  0.691  0.451  0.226
Cu  0.963  0.483  0.986
Cu  0.974  0.499  0.500
P  0.149  0.255  0.253
P  0.166  0.235  0.755
P  0.483  0.766  0.004
P  0.492  0.765  0.503
O  0.010  0.037  0.700
O  0.020  0.044  0.197
O  0.039  0.467  0.204
O  0.043  0.435  0.698
O  0.152  0.243  0.906
O  0.152  0.251  0.405
O  0.217  0.767  0.960
O  0.236  0.772  0.444
O  0.406  0.257  0.195
O  0.427  0.232  0.706
O  0.486  0.750  0.654
O  0.502  0.765  0.156
O  0.604  0.565  0.945
O  0.625  0.574  0.441
O  0.637  0.961  0.946
O  0.651  0.969  0.462

Results
Formation energy   -14.9 eV/f.u.
DFT total energy   -5.93 eV/atom


Record 3
The following is a DFT calculation (PBE) of a geometry-optimized Li2CuPO4 structure.

a = 5.132 Å, b = 6.204 Å, c = 10.859 Å
α = 90.00°, β = 90.64°, γ = 90.00°
Fractional coordinates of all 32 atoms:
Li  0.000  0.000  0.000
Li  0.002  0.249  0.231
Li  0.002  0.751  0.231
Li  0.109  0.000  0.496
Li  0.501  0.256  0.410
Li  0.501  0.744  0.410
Li  0.601  0.253  0.911
Li  0.601  0.747  0.911
Cu  0.055  0.303  0.741
Cu  0.055  0.697  0.741
Cu  0.556  0.500  0.180
Cu  0.579  0.500  0.692
P  0.008  0.500  0.466
P  0.113  0.500  0.987
P  0.494  0.000  0.158
P  0.614  0.000  0.656
O  0.034  0.500  0.124
O  0.107  0.292  0.401
O  0.107  0.708  0.401
O  0.133  0.500  0.598
O  0.191  0.000  0.158
O  0.415  0.500  0.977
O  0.498  0.000  0.524
O  0.520  0.199  0.732
O  0.520  0.801  0.732
O  0.598  0.000  0.024
O  0.602  0.200  0.231
O  0.602  0.800  0.231
O  0.706  0.500  0.471
O  0.918  0.000  0.651
O  0.998  0.291  0.924
O  0.998  0.709  0.924

Results
Formation energy   -18.5 eV/f.u.
DFT total energy   -6.10 eV/atom


Record 4
The following is a DFT calculation (PBE) of a geometry-optimized Li2CuPO4 structure.

a = 5.404 Å, b = 6.218 Å, c = 10.068 Å
α = 90.10°, β = 90.02°, γ = 90.28°
Fractional coordinates of all 32 atoms:
Li  0.000  0.000  0.000
Li  0.000  0.002  0.500
Li  0.172  0.753  0.250
Li  0.174  0.754  0.750
Li  0.517  0.749  0.499
Li  0.518  0.252  0.999
Li  0.690  0.499  0.250
Li  0.690  0.500  0.750
Cu  0.176  0.244  0.752
Cu  0.183  0.244  0.251
Cu  0.509  0.259  0.500
Cu  0.510  0.742  0.003
P  0.017  0.501  0.003
P  0.017  0.510  0.503
P  0.673  0.995  0.253
P  0.673  0.997  0.753
O  0.014  0.512  0.158
O  0.014  0.513  0.658
O  0.140  0.294  0.456
O  0.143  0.708  0.946
O  0.162  0.295  0.960
O  0.162  0.708  0.450
O  0.526  0.790  0.208
O  0.529  0.797  0.701
O  0.548  0.211  0.706
O  0.549  0.203  0.198
O  0.676  0.004  0.908
O  0.676  0.995  0.408
O  0.747  0.487  0.949
O  0.747  0.516  0.448
O  0.943  0.986  0.198
O  0.943  0.989  0.698

Results
Formation energy   -18.3 eV/f.u.
DFT total energy   -6.09 eV/atom


Record 5
The following is a DFT calculation (PBE) of a geometry-optimized Li2CuPO4 structure.

a = 5.317 Å, b = 5.317 Å, c = 6.229 Å
α = 90.40°, β = 90.40°, γ = 93.51°
Fractional coordinates of all 16 atoms:
Li  0.179  0.821  0.000
Li  0.317  0.317  0.740
Li  0.683  0.683  0.260
Li  0.821  0.179  0.000
Cu  0.191  0.809  0.500
Cu  0.809  0.191  0.500
P  0.324  0.324  0.234
P  0.676  0.676  0.766
O  0.198  0.198  0.032
O  0.209  0.209  0.445
O  0.293  0.615  0.233
O  0.385  0.707  0.767
O  0.615  0.293  0.233
O  0.707  0.385  0.767
O  0.791  0.791  0.555
O  0.802  0.802  0.968

Results
Formation energy   -18.2 eV/f.u.
DFT total energy   -6.07 eV/atom


Record 6
The following is a DFT calculation (PBE) of a geometry-optimized Li2CuPO4 structure.

a = 5.052 Å, b = 6.157 Å, c = 5.451 Å
α = 90.00°, β = 90.35°, γ = 90.00°
Fractional coordinates of all 16 atoms:
Li  0.000  0.000  0.000
Li  0.000  0.253  0.519
Li  0.000  0.747  0.519
Li  0.496  0.500  0.691
Cu  0.487  0.241  0.187
Cu  0.487  0.759  0.187
P  0.496  0.000  0.671
P  0.991  0.500  0.012
O  0.080  0.292  0.157
O  0.080  0.708  0.157
O  0.103  0.500  0.747
O  0.187  0.000  0.668
O  0.604  0.210  0.543
O  0.604  0.790  0.543
O  0.610  0.000  0.937
O  0.683  0.500  0.999

Results
Formation energy   -18.3 eV/f.u.
DFT total energy   -6.09 eV/atom


What did the first record say?
The following is a DFT calculation (PBE) of a geometry-optimized LiCu2PO4 structure.

a = 5.567 Å, b = 6.263 Å, c = 10.247 Å
α = 89.04°, β = 89.33°, γ = 88.82°
Fractional coordinates of all 32 atoms:
Li  0.000  0.000  0.000
Li  0.007  0.991  0.499
Li  0.180  0.240  0.254
Li  0.537  0.240  0.503
Cu  0.194  0.267  0.738
Cu  0.221  0.711  0.739
Cu  0.223  0.725  0.247
Cu  0.499  0.694  0.021
Cu  0.507  0.275  0.005
Cu  0.508  0.700  0.525
Cu  0.603  0.503  0.761
Cu  0.604  0.500  0.260
P  0.031  0.484  0.489
P  0.032  0.494  0.000
P  0.695  0.005  0.252
P  0.703  0.997  0.749
O  0.023  0.491  0.849
O  0.033  0.488  0.338
O  0.146  0.696  0.539
O  0.147  0.708  0.044
O  0.157  0.289  0.057
O  0.175  0.280  0.537
O  0.543  0.199  0.305
O  0.561  0.200  0.799
O  0.561  0.805  0.809
O  0.563  0.805  0.310
O  0.692  0.004  0.100
O  0.697  0.994  0.598
O  0.768  0.472  0.543
O  0.770  0.496  0.056
O  0.956  0.006  0.304
O  0.963  0.993  0.802

Results
Formation energy   -14.8 eV/f.u.
DFT total energy   -5.93 eV/atom


What did the sixth record say?
The following is a DFT calculation (PBE) of a geometry-optimized Li2CuPO4 structure.

a = 5.052 Å, b = 6.157 Å, c = 5.451 Å
α = 90.00°, β = 90.35°, γ = 90.00°
Fractional coordinates of all 16 atoms:
Li  0.000  0.000  0.000
Li  0.000  0.253  0.519
Li  0.000  0.747  0.519
Li  0.496  0.500  0.691
Cu  0.487  0.241  0.187
Cu  0.487  0.759  0.187
P  0.496  0.000  0.671
P  0.991  0.500  0.012
O  0.080  0.292  0.157
O  0.080  0.708  0.157
O  0.103  0.500  0.747
O  0.187  0.000  0.668
O  0.604  0.210  0.543
O  0.604  0.790  0.543
O  0.610  0.000  0.937
O  0.683  0.500  0.999

Results
Formation energy   -18.3 eV/f.u.
DFT total energy   -6.09 eV/atom


Number 3 is which compound?
Li2CuPO4


Number 3 is which compound?
Li2CuPO4